This record from the Materials Project describes NbV3F6 after structural relaxation. The functional is PBE with a Hubbard U.

Values from the calculation:
MP2020-corrected energy   -64.7 eV per cell
ΔE_f   -1.58 eV/atom

Cell and atoms, written as POSCAR:
```
NbV3F6
1.0
6.180 0.000 0.000
-3.063 5.707 0.000
-0.290 -0.310 12.646
Nb V F
1 3 6
direct
0.000 0.000 0.000
0.000 0.000 0.500
0.000 0.500 0.000
0.500 0.500 0.000
0.070 0.009 0.640
0.087 0.768 0.908
0.322 0.213 0.913
0.678 0.787 0.087
0.913 0.232 0.092
0.930 0.991 0.360
```